Entry 1:
Below is a relaxed structure of SmGe2Rh2, with properties calculated at the meta-GGA r2SCAN level.

Calculated values
As for the total energy: -22.124 eV per atom.

Unit cell a=5.9663 b=5.9663 c=5.9663 alpha=139.45 beta=139.45 gamma=58.68
Closest atoms and distances in Å follow each position.
Positions (direct):
1 Sm 0.0000 0.0000 0.0000  8 Ge 3.19, 8 Rh 3.32
2 Ge 0.3765 0.3765 0.0000  4 Rh 2.45, 1 Ge 2.57
3 Ge 0.6235 0.6235 0.0000  4 Rh 2.45, 1 Ge 2.57
4 Rh 0.2500 0.7500 0.5000  4 Ge 2.45
5 Rh 0.7500 0.2500 0.5000  4 Ge 2.45

Entry 2:
Below is a relaxed structure of ThInAg2, with properties calculated at the meta-GGA r2SCAN level.

Calculated values
As for the total energy: -34.945 eV per atom.

Unit cell a=5.0533 b=5.0533 c=5.0533 alpha=60.00 beta=60.00 gamma=60.00
Closest atoms and distances in Å follow each position.
Positions (direct):
1 Th 0.0000 0.0000 0.0000  8 Ag 3.09
2 In 0.5000 0.5000 0.5000  8 Ag 3.09
3 Ag 0.2500 0.2500 0.2500  4 In 3.09, 4 Th 3.09
4 Ag 0.7500 0.7500 0.7500  4 In 3.09, 4 Th 3.09

Entry 3:
Below is a relaxed structure of Zr, with properties calculated at the meta-GGA r2SCAN level.

Calculated values
As for the total energy: -22.750 eV per atom. For the energy above the most stable polymorph in this dataset, the calculation gives 0.000 eV/atom.

Unit cell a=3.2392 b=3.2392 c=5.1722 alpha=90.00 beta=90.00 gamma=120.00
Closest atoms and distances in Å follow each position.
Positions (direct):
1 Zr 0.3333 0.6667 0.2500  12 Zr 3.19-3.24
2 Zr 0.6667 0.3333 0.7500  12 Zr 3.19-3.24

Entry 4:
Below is a relaxed structure of Ba2In, with properties calculated at the meta-GGA r2SCAN level.

Calculated values
As for the total energy: -25.560 eV per atom.

Unit cell a=8.1585 b=5.9577 c=11.0658 alpha=90.00 beta=90.00 gamma=90.00
Closest atoms and distances in Å follow each position.
Positions (direct):
1 Ba 0.0225 0.2500 0.1921  3 In 3.70-3.75, 3 Ba 4.08-4.09
2 Ba 0.1759 0.2500 0.5747  4 In 3.57-3.66
3 Ba 0.3241 0.7500 0.0747  4 In 3.57-3.66
4 Ba 0.4775 0.7500 0.6921  3 In 3.70-3.75, 3 Ba 4.08-4.09
5 Ba 0.5225 0.2500 0.3079  3 In 3.70-3.75, 3 Ba 4.08-4.09
6 Ba 0.6759 0.2500 0.9253  4 In 3.57-3.66
7 Ba 0.8241 0.7500 0.4253  4 In 3.57-3.66
8 Ba 0.9775 0.7500 0.8079  3 In 3.70-3.75, 3 Ba 4.08-4.09
9 In 0.2297 0.2500 0.8949  7 Ba 3.57-3.75
10 In 0.2703 0.7500 0.3949  7 Ba 3.57-3.75
11 In 0.7297 0.2500 0.6051  7 Ba 3.57-3.75
12 In 0.7703 0.7500 0.1051  7 Ba 3.57-3.75

Entry 5:
Below is a relaxed structure of PmSmTl2, with properties calculated at the meta-GGA r2SCAN level.

Calculated values
As for the total energy: -41.907 eV per atom.

Unit cell a=5.4495 b=5.4495 c=5.4495 alpha=60.00 beta=60.00 gamma=60.00
Closest atoms and distances in Å follow each position.
Positions (direct):
1 Pm 0.0000 0.0000 0.0000  8 Tl 3.34
2 Sm 0.5000 0.5000 0.5000  8 Tl 3.34
3 Tl 0.2500 0.2500 0.2500  4 Sm 3.34, 4 Pm 3.34
4 Tl 0.7500 0.7500 0.7500  4 Sm 3.34, 4 Pm 3.34

Entry 6:
Below is a relaxed structure of H, with properties calculated at the meta-GGA r2SCAN level.

Calculated values
As for the total energy: -3.060 eV per atom. For the energy above the most stable polymorph in this dataset, the calculation gives 0.395 eV/atom.

Unit cell a=0.9794 b=2.7107 c=2.7233 alpha=118.11 beta=92.38 gamma=92.06
Closest atoms and distances in Å follow each position.
Positions (direct):
1 H 0.0000 0.0000 0.0000  2 H 0.98

Entry 7:
Below is a relaxed structure of RbSrI3, with properties calculated at the meta-GGA r2SCAN level.

Calculated values
As for the total energy: -22.423 eV per atom.

Unit cell a=8.2669 b=8.2669 c=12.1483 alpha=90.00 beta=90.00 gamma=146.13
Closest atoms and distances in Å follow each position.
Positions (direct):
1 Rb 0.2503 0.7497 0.7500  6 I 3.66-3.81
2 Rb 0.7497 0.2503 0.2500  6 I 3.66-3.81
3 Sr 0.0000 0.0000 0.0000  6 I 3.26-3.31
4 Sr 0.0000 0.0000 0.5000  6 I 3.26-3.31
5 I 0.0755 0.9245 0.2500  2 Sr 3.26
6 I 0.3629 0.6371 0.0567  2 Sr 3.31
7 I 0.3629 0.6371 0.4433  2 Sr 3.31
8 I 0.6371 0.3629 0.5567  2 Sr 3.31
9 I 0.6371 0.3629 0.9433  2 Sr 3.31
10 I 0.9245 0.0755 0.7500  2 Sr 3.26

Entry 8:
Below is a relaxed structure of La6Si7Br3, with properties calculated at the meta-GGA r2SCAN level.

Calculated values
As for the total energy: -18.695 eV per atom.

Unit cell a=4.1535 b=16.9759 c=11.8999 alpha=90.00 beta=90.00 gamma=90.00
Closest atoms and distances in Å follow each position.
Positions (direct):
1 La 0.2500 0.0060 0.1435  8 Si 3.14-3.21, 1 Br 3.15
2 La 0.2500 0.1308 0.4340  4 Si 3.07-3.08, 4 Br 3.16-3.24
3 La 0.2500 0.2500 0.1420  12 Si 3.19-3.22
4 La 0.2500 0.3692 0.4340  4 Si 3.07-3.08, 4 Br 3.16-3.24
5 La 0.2500 0.4940 0.1435  8 Si 3.14-3.21, 1 Br 3.15
6 La 0.2500 0.7500 0.1579  6 Si 3.15-3.18, 2 Br 3.20
7 La 0.7500 0.2500 0.8421  6 Si 3.15-3.18, 2 Br 3.20
8 La 0.7500 0.5060 0.8565  8 Si 3.14-3.21, 1 Br 3.15
9 La 0.7500 0.6308 0.5660  4 Si 3.07-3.08, 4 Br 3.16-3.24
10 La 0.7500 0.7500 0.8580  12 Si 3.19-3.22
11 La 0.7500 0.8692 0.5660  4 Si 3.07-3.08, 4 Br 3.16-3.24
12 La 0.7500 0.9940 0.8565  8 Si 3.14-3.21, 1 Br 3.15
13 Si 0.2500 0.1269 0.9362  2 Si 2.43
14 Si 0.2500 0.3731 0.9362  2 Si 2.43
15 Si 0.2500 0.6264 0.7555  2 Si 2.41-2.42
16 Si 0.2500 0.6257 0.9581  3 Si 2.41-2.43
17 Si 0.2500 0.7500 0.6534  2 Si 2.42
18 Si 0.2500 0.8736 0.7555  2 Si 2.41-2.42
19 Si 0.2500 0.8743 0.9581  3 Si 2.41-2.43
20 Si 0.7500 0.1257 0.0419  3 Si 2.41-2.43
21 Si 0.7500 0.1264 0.2445  2 Si 2.41-2.42
22 Si 0.7500 0.2500 0.3466  2 Si 2.42
23 Si 0.7500 0.3743 0.0419  3 Si 2.41-2.43
24 Si 0.7500 0.3736 0.2445  2 Si 2.41-2.42
25 Si 0.7500 0.6269 0.0638  2 Si 2.43
26 Si 0.7500 0.8731 0.0638  2 Si 2.43
27 Br 0.2500 0.2500 0.6377  4 La 3.16-3.20
28 Br 0.2500 0.5578 0.3922  4 La 3.15-3.24
29 Br 0.2500 0.9422 0.3922  4 La 3.15-3.24
30 Br 0.7500 0.0578 0.6078  4 La 3.15-3.24
31 Br 0.7500 0.4422 0.6078  4 La 3.15-3.24
32 Br 0.7500 0.7500 0.3623  4 La 3.16-3.20

Going through the records in order, we get energy of formation from the pure elements values of -469.9, -98.0, 0.0, -106.5, -192.7, 38.1, -903.4, -1877.2 kJ/mol of formula units.